A plane-wave DFT calculation with PBE-GGA was carried out for a relaxed YAlNi crystal.

Geometry as CIF:
```
data_YAlNi
_chemical_formula_sum 'Y8 Al8 Ni8'
_cell_length_a 8.6158
_cell_length_b 5.3905
_cell_length_c 9.0799
_cell_angle_alpha 90.00
_cell_angle_beta 90.00
_cell_angle_gamma 90.00
_symmetry_space_group_name_H-M 'A m m 2'
_symmetry_Int_Tables_number 38
loop_
_symmetry_equiv_pos_as_xyz
'x,y,z'
'-x,-y,z'
'-x,y,z'
'x,-y,z'
'x,y+1/2,z+1/2'
'-x,-y+1/2,z+1/2'
'-x,y+1/2,z+1/2'
'x,-y+1/2,z+1/2'
loop_
_atom_site_label
_atom_site_type_symbol
_atom_site_fract_x
_atom_site_fract_y
_atom_site_fract_z
Y1 Y 0.1820 0.0000 0.0000
Y2 Y 0.2932 0.0000 0.6694
Al1 Al 0.0000 0.0000 0.4782
Al2 Al 0.5000 0.0000 0.1660
Al3 Al 0.5000 0.2472 0.4154
Ni1 Ni 0.0000 0.2433 0.2418
Ni2 Ni 0.2598 0.0000 0.3363
```

Summary:
Electronic total energy   -5.834 eV per atom